Record 1
This record from Materials Project describes a relaxed Na3Si2Sn2PO12 crystal. The functional is PBE-GGA.

Properties
- calculated density (Mg/m³) = 3.66
- magnetic moment (μB per cell) = 0.00
- DFT total energy (eV/atom) = -6.553
- E_form (kJ per mole of atoms) = -249.34

Geometry as POSCAR:
```
Na3Si2Sn2PO12
1.0
-4.346 -7.423 -2.802
0.505 1.899 8.831
-19.166 11.742 -1.450
Na Si Sn P O
18 12 12 6 72
Direct
0.997 0.992 0.500 Na
0.008 0.003 0.000 Na
0.664 0.325 0.834 Na
0.675 0.336 0.334 Na
0.330 0.659 0.167 Na
0.341 0.670 0.667 Na
0.639 0.002 0.251 Na
0.998 0.631 0.252 Na
0.998 0.361 0.751 Na
0.369 0.002 0.752 Na
0.306 0.335 0.585 Na
0.665 0.964 0.585 Na
0.665 0.694 0.085 Na
0.036 0.335 0.085 Na
0.973 0.668 0.918 Na
0.332 0.298 0.918 Na
0.332 0.027 0.418 Na
0.702 0.668 0.418 Na
0.705 0.706 0.250 Si
0.001 0.293 0.248 Si
0.294 0.295 0.750 Si
0.707 0.999 0.748 Si
0.372 0.039 0.583 Si
0.668 0.627 0.582 Si
0.961 0.628 0.083 Si
0.373 0.332 0.082 Si
0.039 0.372 0.917 Si
0.335 0.960 0.915 Si
0.628 0.961 0.417 Si
0.040 0.665 0.415 Si
0.996 0.001 0.352 Sn
0.999 0.004 0.852 Sn
0.998 0.994 0.648 Sn
0.006 0.002 0.148 Sn
0.662 0.334 0.685 Sn
0.666 0.338 0.185 Sn
0.664 0.327 0.981 Sn
0.673 0.336 0.481 Sn
0.329 0.668 0.019 Sn
0.332 0.671 0.519 Sn
0.331 0.661 0.315 Sn
0.339 0.669 0.815 Sn
0.294 0.002 0.251 P
0.998 0.706 0.751 P
0.960 0.336 0.585 P
0.664 0.040 0.085 P
0.627 0.669 0.918 P
0.331 0.373 0.418 P
0.219 0.033 0.308 O
0.828 0.785 0.309 O
0.961 0.168 0.305 O
0.215 0.172 0.809 O
0.967 0.781 0.808 O
0.832 0.039 0.805 O
0.786 0.967 0.688 O
0.173 0.212 0.691 O
0.036 0.825 0.697 O
0.788 0.827 0.191 O
0.033 0.214 0.188 O
0.175 0.964 0.197 O
0.886 0.367 0.642 O
0.495 0.119 0.642 O
0.627 0.502 0.639 O
0.881 0.505 0.142 O
0.633 0.114 0.142 O
0.498 0.373 0.139 O
0.452 0.300 0.021 O
0.839 0.545 0.024 O
0.703 0.158 0.030 O
0.455 0.161 0.524 O
0.700 0.548 0.521 O
0.842 0.297 0.530 O
0.552 0.700 0.975 O
0.161 0.452 0.975 O
0.294 0.835 0.972 O
0.548 0.839 0.475 O
0.300 0.448 0.475 O
0.165 0.706 0.472 O
0.119 0.634 0.354 O
0.506 0.878 0.358 O
0.369 0.491 0.364 O
0.122 0.494 0.858 O
0.366 0.881 0.854 O
0.509 0.631 0.864 O
0.030 0.843 0.411 O
0.814 0.973 0.412 O
0.176 0.191 0.411 O
0.027 0.186 0.912 O
0.157 0.970 0.911 O
0.809 0.824 0.911 O
0.977 0.172 0.588 O
0.188 0.033 0.589 O
0.831 0.822 0.587 O
0.967 0.812 0.089 O
0.828 0.023 0.088 O
0.178 0.169 0.087 O
0.696 0.177 0.744 O
0.481 0.306 0.746 O
0.843 0.524 0.744 O
0.694 0.519 0.246 O
0.823 0.304 0.244 O
0.476 0.157 0.244 O
0.644 0.506 0.922 O
0.854 0.366 0.922 O
0.498 0.155 0.920 O
0.634 0.146 0.422 O
0.494 0.356 0.422 O
0.845 0.502 0.420 O
0.363 0.510 0.078 O
0.147 0.640 0.079 O
0.510 0.858 0.078 O
0.360 0.853 0.579 O
0.490 0.637 0.578 O
0.142 0.490 0.578 O
0.310 0.839 0.255 O
0.521 0.700 0.256 O
0.165 0.489 0.254 O
0.300 0.479 0.756 O
0.161 0.690 0.755 O
0.511 0.835 0.754 O
```



Record 2
This record from Materials Project describes a relaxed HfMgN2 crystal. The functional is PBE-GGA.

Properties
- calculated density (Mg/m³) = 7.26
- DFT total energy (eV/atom) = -8.487
- E_form (kJ per mole of atoms) = -155.31

Geometry as POSCAR:
```
HfMgN2
1.0
-3.277 -0.840 2.869
-2.150 -4.669 -3.824
4.343 -4.891 3.529
Hf Mg N
4 4 8
Direct
0.750 0.588 0.630 Hf
0.250 0.412 0.370 Hf
0.250 0.912 0.130 Hf
0.750 0.088 0.870 Hf
0.750 0.578 0.119 Mg
0.250 0.422 0.881 Mg
0.250 0.922 0.619 Mg
0.750 0.078 0.381 Mg
0.250 0.579 0.615 N
0.750 0.421 0.385 N
0.750 0.921 0.115 N
0.250 0.079 0.885 N
0.250 0.585 0.132 N
0.750 0.415 0.868 N
0.750 0.915 0.632 N
0.250 0.085 0.368 N
```



Record 3
This record from Materials Project describes a relaxed MgZn2Bi6Ru8O27 crystal. The functional is PBE-GGA.

Properties
- calculated density (Mg/m³) = 7.78
- magnetic moment (μB per cell) = 0.06
- DFT total energy (eV/atom) = -6.418
- E_form (kJ per mole of atoms) = -144.05

Geometry as POSCAR:
```
MgZn2Bi6Ru8O27
1.0
1.989 2.135 6.819
-2.506 9.760 -2.327
-6.881 -1.269 2.317
Mg Zn Bi Ru O
1 2 6 8 27
Direct
0.521 0.761 0.502 Mg
0.813 0.278 0.726 Zn
0.921 0.996 0.582 Zn
0.217 0.764 0.240 Bi
0.767 0.237 0.239 Bi
0.225 0.762 0.764 Bi
0.502 0.488 0.984 Bi
0.003 0.490 0.001 Bi
0.486 0.051 0.516 Bi
0.249 0.253 0.245 Ru
0.759 0.745 0.762 Ru
0.760 0.749 0.238 Ru
0.243 0.252 0.750 Ru
0.502 0.994 0.005 Ru
0.007 0.502 0.498 Ru
0.994 0.005 0.000 Ru
0.500 0.489 0.500 Ru
0.246 0.917 0.999 O
0.754 0.409 0.515 O
0.245 0.334 0.999 O
0.768 0.837 0.503 O
0.560 0.624 0.310 O
0.008 0.130 0.771 O
0.958 0.626 0.702 O
0.441 0.121 0.202 O
0.548 0.622 0.702 O
0.042 0.143 0.175 O
0.959 0.627 0.295 O
0.415 0.110 0.802 O
0.743 0.069 0.020 O
0.255 0.568 0.492 O
0.747 0.663 0.000 O
0.254 0.182 0.497 O
0.444 0.373 0.708 O
0.955 0.873 0.184 O
0.038 0.377 0.289 O
0.553 0.871 0.798 O
0.456 0.371 0.293 O
0.957 0.873 0.804 O
0.055 0.383 0.706 O
0.551 0.870 0.199 O
0.754 0.348 0.980 O
0.305 0.882 0.503 O
0.252 0.625 0.001 O
```



Record 4
This record from Materials Project describes a relaxed Sm2CoGe2 crystal. The functional is PBE-GGA.

Properties
- calculated density (Mg/m³) = 7.95
- magnetic moment (μB per cell) = 1.14
- DFT total energy (eV/atom) = -5.856
- E_form (kJ per mole of atoms) = -67.29

Geometry as POSCAR:
```
Sm2CoGe2
1.0
2.143 5.379 0.000
-2.143 5.379 0.000
0.000 4.986 9.153
Sm Co Ge
4 2 4
Direct
0.188 0.188 0.889 Sm
0.812 0.812 0.111 Sm
0.006 0.006 0.668 Sm
0.994 0.994 0.332 Sm
0.275 0.275 0.364 Co
0.725 0.725 0.636 Co
0.491 0.491 0.875 Ge
0.509 0.509 0.125 Ge
0.344 0.344 0.566 Ge
0.656 0.656 0.434 Ge
```